w | # PBE with a Hubbard U Li2FeNi2O6, relaxed
data_Li2FeNi2O6
_chemical_formula_sum 'Li8 Fe4 Ni8 O24'
_cell_length_a 8.4118
_cell_length_b 5.1094
_cell_length_c 9.9241
_cell_angle_alpha 90.00
_cell_angle_beta 90.00
_cell_angle_gamma 90.00
_symmetry_space_group_name_H-M 'C m c e'
_symmetry_Int_Tables_number 64
_symmetry_space_group_name_Hall '-C 2ac 2'
loop_
_atom_site_label
_atom_site_type_symbol
_atom_site_fract_x
_atom_site_fract_y
_atom_site_fract_z
Li1 Li 0.2500 0.1173 0.2500
Fe1 Fe 0.0000 0.0000 0.0000
Ni1 Ni 0.1649 0.0000 0.5000
O1 O 0.0000 0.1745 0.5956
O2 O 0.1712 0.1383 0.8924
# mass density = 4.409 g/cm³
# calculated volume = 9.694 Å³/atom

=====

x | # PBE with a Hubbard U Li2FeNi2O6, relaxed
data_Li2FeNi2O6
_chemical_formula_sum 'Li6 Fe3 Ni6 O18'
_cell_length_a 6.5683
_cell_length_b 6.6387
_cell_length_c 8.3215
_cell_angle_alpha 70.61
_cell_angle_beta 70.36
_cell_angle_gamma 82.33
_symmetry_space_group_name_H-M 'P -1'
_symmetry_Int_Tables_number 2
_symmetry_space_group_name_Hall '-P 1'
loop_
_atom_site_label
_atom_site_type_symbol
_atom_site_fract_x
_atom_site_fract_y
_atom_site_fract_z
Li1 Li 0.0046 0.1511 0.3355
Li2 Li 0.3276 0.1625 0.0015
Li3 Li 0.3349 0.4904 0.6725
Fe1 Fe 0.0000 0.5000 0.5000
Fe2 Fe 0.3319 0.5059 0.1596
Ni1 Ni 0.0026 0.1665 0.8325
Ni2 Ni 0.3314 0.8378 0.8273
Ni3 Ni 0.3365 0.1662 0.4981
O1 O 0.0095 0.5239 0.2571
O2 O 0.0171 0.8675 0.9015
O3 O 0.0361 0.1779 0.5666
O4 O 0.3109 0.1657 0.7324
O5 O 0.3139 0.8313 0.0611
O6 O 0.3300 0.4661 0.4192
O7 O 0.3512 0.1811 0.2606
O8 O 0.3520 0.4949 0.9177
O9 O 0.3527 0.8586 0.5881
# mass density = 4.376 g/cm³
# calculated volume = 9.765 Å³/atom

=====

Most stable to least stable: x, w

=====

w | # PBE with a Hubbard U Li6Fe5NiO12, relaxed
data_Li6Fe5NiO12
_chemical_formula_sum 'Li12 Fe10 Ni2 O24'
_cell_length_a 5.0234
_cell_length_b 8.7295
_cell_length_c 10.0015
_cell_angle_alpha 90.00
_cell_angle_beta 98.53
_cell_angle_gamma 90.00
_symmetry_space_group_name_H-M 'C 1 2 1'
_symmetry_Int_Tables_number 5
_symmetry_space_group_name_Hall 'C 2y'
loop_
_atom_site_label
_atom_site_type_symbol
_atom_site_fract_x
_atom_site_fract_y
_atom_site_fract_z
Li1 Li 0.1034 0.0000 0.2582
Li2 Li 0.1086 0.6695 0.2609
Li3 Li 0.1132 0.3341 0.2539
Fe1 Fe 0.0000 0.0021 0.0000
Fe2 Fe 0.0000 0.1687 0.5000
Fe3 Fe 0.0000 0.5008 0.5000
Fe4 Fe 0.0000 0.6674 0.0000
Fe5 Fe 0.0000 0.8344 0.5000
Ni1 Ni 0.0000 0.3342 0.0000
O1 O 0.1172 0.1616 0.8885
O2 O 0.1272 0.8447 0.8914
O3 O 0.1473 0.4985 0.8908
O4 O 0.1894 0.6766 0.6168
O5 O 0.1910 0.9933 0.6161
O6 O 0.2163 0.3347 0.6158
# mass density = 4.376 g/cm³
# calculated volume = 9.036 Å³/atom

=====

x | # PBE with a Hubbard U Li6Fe5NiO12, relaxed
data_Li6Fe5NiO12
_chemical_formula_sum 'Li12 Fe10 Ni2 O24'
_cell_length_a 5.1081
_cell_length_b 8.8390
_cell_length_c 10.1524
_cell_angle_alpha 90.00
_cell_angle_beta 98.45
_cell_angle_gamma 90.00
_symmetry_space_group_name_H-M 'C 1 2/m 1'
_symmetry_Int_Tables_number 12
_symmetry_space_group_name_Hall '-C 2y'
loop_
_atom_site_label
_atom_site_type_symbol
_atom_site_fract_x
_atom_site_fract_y
_atom_site_fract_z
Li1 Li 0.1030 0.1664 0.2570
Li2 Li 0.1069 0.5000 0.2509
Fe1 Fe 0.0000 0.0000 0.5000
Fe2 Fe 0.0000 0.1678 0.0000
Fe3 Fe 0.0000 0.3338 0.5000
Ni1 Ni 0.0000 0.5000 0.0000
O1 O 0.1202 0.0000 0.8855
O2 O 0.1350 0.3297 0.8862
O3 O 0.1990 0.1668 0.6130
O4 O 0.1995 0.5000 0.6130
# mass density = 4.186 g/cm³
# calculated volume = 9.446 Å³/atom

=====

Most stable to least stable: x, w